(1)
Computed, not measured: crystalline BaPrEuWO6 at its relaxed geometry at the PBE with a Hubbard U level of DFT.

Properties
ΔE_f: -2898.9 meV/atom

abc: 6.123 6.123 6.123
angles: 60.00 60.00 60.00
Sites, in units of the cell vectors:
Ba1 0.000 0.000 0.000
Pr1 0.750 0.750 0.750
Eu1 0.500 0.500 0.500
W1 0.250 0.250 0.250
O1 0.020 0.020 0.480
O2 0.020 0.480 0.020
O3 0.020 0.480 0.480
O4 0.480 0.020 0.020
O5 0.480 0.020 0.480
O6 0.480 0.480 0.020

---

(2)
Computed, not measured: crystalline BaSmEuVO6 at its relaxed geometry at the PBE with a Hubbard U level of DFT.

Properties
ΔE_f: -3090.8 meV/atom

abc: 8.420 8.477 8.550
angles: 90.00 90.00 90.00
Sites, in units of the cell vectors:
Ba1 0.250 0.250 0.250
Ba2 0.250 0.750 0.250
Ba3 0.750 0.250 0.750
Ba4 0.750 0.750 0.750
Sm1 0.000 0.000 0.000
Sm2 0.000 0.500 0.500
Sm3 0.500 0.000 0.500
Sm4 0.500 0.500 0.000
Eu1 0.250 0.250 0.750
Eu2 0.250 0.750 0.750
Eu3 0.750 0.250 0.250
Eu4 0.750 0.750 0.250
V1 0.000 0.000 0.500
V2 0.000 0.500 0.000
V3 0.500 0.000 0.000
V4 0.500 0.500 0.500
O1 0.031 0.032 0.729
O2 0.031 0.468 0.771
O3 0.032 0.729 0.971
O4 0.032 0.771 0.529
O5 0.226 0.025 0.476
O6 0.226 0.475 0.024
O7 0.274 0.025 0.024
O8 0.274 0.475 0.476
O9 0.468 0.729 0.529
O10 0.468 0.771 0.971
O11 0.469 0.032 0.771
O12 0.469 0.468 0.729
O13 0.531 0.532 0.271
O14 0.531 0.968 0.229
O15 0.532 0.229 0.029
O16 0.532 0.271 0.471
O17 0.726 0.525 0.524
O18 0.726 0.975 0.976
O19 0.774 0.525 0.976
O20 0.774 0.975 0.524
O21 0.968 0.229 0.471
O22 0.968 0.271 0.029
O23 0.969 0.532 0.229
O24 0.969 0.968 0.271

---

(3)
Computed, not measured: crystalline BaSmEuVO6 at its relaxed geometry at the PBE with a Hubbard U level of DFT.

Properties
ΔE_f: -3076.1 meV/atom

abc: 5.966 5.966 5.966
angles: 60.00 60.00 60.00
Sites, in units of the cell vectors:
Ba1 0.000 0.000 0.000
Sm1 0.250 0.250 0.250
Eu1 0.500 0.500 0.500
V1 0.750 0.750 0.750
O1 0.522 0.522 0.978
O2 0.522 0.978 0.522
O3 0.522 0.978 0.978
O4 0.978 0.522 0.522
O5 0.978 0.522 0.978
O6 0.978 0.978 0.522

---

(4)
Computed, not measured: crystalline BaSrEuWO6 at its relaxed geometry at the PBE with a Hubbard U level of DFT.

Properties
ΔE_f: -2964.7 meV/atom

abc: 8.551 8.556 8.585
angles: 90.00 90.00 90.00
Sites, in units of the cell vectors:
Ba1 0.000 0.000 0.000
Ba2 0.000 0.000 0.500
Ba3 0.000 0.500 0.000
Ba4 0.500 0.500 0.500
Sr1 0.000 0.500 0.500
Sr2 0.500 0.000 0.000
Sr3 0.500 0.000 0.500
Sr4 0.500 0.500 0.000
Eu1 0.253 0.251 0.750
Eu2 0.253 0.749 0.250
Eu3 0.747 0.251 0.250
Eu4 0.747 0.749 0.750
W1 0.254 0.249 0.250
W2 0.254 0.751 0.750
W3 0.746 0.249 0.750
W4 0.746 0.751 0.250
O1 0.026 0.272 0.222
O2 0.026 0.728 0.778
O3 0.218 0.292 0.474
O4 0.218 0.708 0.526
O5 0.225 0.023 0.275
O6 0.225 0.977 0.725
O7 0.287 0.214 0.025
O8 0.287 0.786 0.975
O9 0.292 0.474 0.213
O10 0.292 0.526 0.787
O11 0.477 0.215 0.295
O12 0.477 0.785 0.705
O13 0.523 0.215 0.705
O14 0.523 0.785 0.295
O15 0.708 0.474 0.787
O16 0.708 0.526 0.213
O17 0.713 0.214 0.975
O18 0.713 0.786 0.025
O19 0.775 0.023 0.725
O20 0.775 0.977 0.275
O21 0.782 0.292 0.526
O22 0.782 0.708 0.474
O23 0.974 0.272 0.778
O24 0.974 0.728 0.222

---

(5)
Computed, not measured: crystalline BaSrEuWO6 at its relaxed geometry at the PBE with a Hubbard U level of DFT.

Properties
ΔE_f: -2918.2 meV/atom

abc: 6.016 6.016 8.781
angles: 90.00 90.00 90.00
Sites, in units of the cell vectors:
Ba1 0.000 0.000 0.000
Ba2 0.500 0.500 0.000
Sr1 0.000 0.500 0.250
Sr2 0.500 0.000 0.750
Eu1 0.000 0.000 0.500
Eu2 0.500 0.500 0.500
W1 0.000 0.500 0.740
W2 0.500 0.000 0.260
O1 0.000 0.500 0.518
O2 0.000 0.500 0.967
O3 0.149 0.790 0.738
O4 0.210 0.851 0.262
O5 0.290 0.351 0.738
O6 0.351 0.290 0.262
O7 0.500 0.000 0.033
O8 0.500 0.000 0.482
O9 0.649 0.710 0.262
O10 0.710 0.649 0.738
O11 0.790 0.149 0.262
O12 0.851 0.210 0.738

---

(6)
Computed, not measured: crystalline BaSrEuWO6 at its relaxed geometry at the PBE with a Hubbard U level of DFT.

Properties
ΔE_f: -2863.0 meV/atom

abc: 6.124 6.124 6.124
angles: 60.00 60.00 60.00
Sites, in units of the cell vectors:
Ba1 0.000 0.000 0.000
Sr1 0.250 0.250 0.250
Eu1 0.500 0.500 0.500
W1 0.750 0.750 0.750
O1 0.525 0.525 0.975
O2 0.525 0.975 0.525
O3 0.525 0.975 0.975
O4 0.975 0.525 0.525
O5 0.975 0.525 0.975
O6 0.975 0.975 0.525

---

(7)
Computed, not measured: crystalline BaSrEuWO6 at its relaxed geometry at the PBE with a Hubbard U level of DFT.

Properties
ΔE_f: -2920.5 meV/atom

abc: 6.154 6.154 6.154
angles: 60.00 60.00 60.00
Sites, in units of the cell vectors:
Ba1 0.000 0.000 0.000
Sr1 0.500 0.500 0.500
Eu1 0.250 0.250 0.250
W1 0.750 0.750 0.750
O1 0.523 0.523 0.977
O2 0.523 0.977 0.523
O3 0.523 0.977 0.977
O4 0.977 0.523 0.523
O5 0.977 0.523 0.977
O6 0.977 0.977 0.523

---

(8)
Computed, not measured: crystalline BaSrEuWO6 at its relaxed geometry at the PBE with a Hubbard U level of DFT.

Properties
ΔE_f: -2949.9 meV/atom

abc: 6.032 6.127 8.588
angles: 91.35 90.73 90.43
Sites, in units of the cell vectors:
Ba1 0.007 0.040 0.252
Ba2 0.993 0.960 0.748
Sr1 0.000 0.500 0.500
Sr2 0.500 0.000 0.000
Eu1 0.489 0.551 0.253
Eu2 0.511 0.449 0.747
W1 0.000 0.500 0.000
W2 0.500 0.000 0.500
O1 0.107 0.513 0.783
O2 0.178 0.763 0.050
O3 0.237 0.816 0.459
O4 0.262 0.326 0.056
O5 0.335 0.269 0.448
O6 0.424 0.047 0.720
O7 0.576 0.953 0.280
O8 0.665 0.731 0.552
O9 0.738 0.674 0.944
O10 0.763 0.184 0.541
O11 0.822 0.237 0.950
O12 0.893 0.487 0.217

---

Calculated polymorph energy (0 for the lowest one) (meV per atom), listed in the same order as above: 128, 0, 15, 0, 47, 102, 44, 15